Crystalline Nd5S9 at its relaxed geometry. Source: the Materials Project, functional PBE.

Output
Calculated volume: 22.9 Å³ per atom
Energy of formation from the pure elements: -48.6 kcal/mol of atoms
Energy: -86.07 eV per formula unit

```
Nd5S9
1.0
11.815 -2.763 0.000
11.815 2.763 0.000
-1.434 0.000 9.825
Nd S
10 18
direct
0.007 0.007 0.235
0.187 0.220 0.632
0.198 0.201 0.152
0.392 0.398 0.572
0.415 0.396 0.041
0.602 0.608 0.428
0.604 0.585 0.959
0.780 0.813 0.368
0.799 0.802 0.848
0.993 0.993 0.765
0.057 0.566 0.124
0.082 0.071 0.013
0.124 0.126 0.375
0.248 0.752 0.500
0.265 0.295 0.422
0.322 0.323 0.786
0.434 0.943 0.876
0.475 0.477 0.821
0.523 0.525 0.179
0.555 0.056 0.112
0.662 0.163 0.327
0.677 0.678 0.214
0.705 0.735 0.578
0.749 0.251 0.500
0.837 0.338 0.673
0.874 0.876 0.625
0.929 0.918 0.987
0.944 0.445 0.888
```

Crystalline K3Sb7Se3O12 at its relaxed geometry. Source: the Materials Project, functional PBE.

Output
Calculated volume: 22.1 Å³ per atom
Energy of formation from the pure elements: -25.1 kcal/mol of atoms
Energy: -129.32 eV per formula unit

```
K3Sb7Se3O12
1.0
14.819 0.000 0.000
0.000 5.649 0.000
-7.275 0.000 13.193
K Sb Se O
6 14 6 24
direct
0.082 0.000 0.341
0.174 0.005 0.777
0.258 0.517 0.595
0.742 0.017 0.405
0.826 0.505 0.223
0.918 0.500 0.659
0.027 0.498 0.130
0.151 0.504 0.933
0.280 0.508 0.347
0.333 0.126 0.167
0.374 0.503 0.893
0.390 0.004 0.519
0.434 0.008 0.775
0.566 0.508 0.225
0.610 0.504 0.481
0.626 0.003 0.107
0.667 0.626 0.833
0.720 0.008 0.653
0.849 0.004 0.067
0.973 0.998 0.870
0.155 0.961 0.122
0.379 0.958 0.035
0.464 0.958 0.340
0.536 0.458 0.660
0.621 0.458 0.965
0.845 0.461 0.878
0.002 0.019 0.571
0.054 0.252 0.845
0.056 0.753 0.843
0.085 0.133 0.580
0.088 0.367 0.599
0.127 0.492 0.280
0.221 0.495 0.849
0.281 0.762 0.440
0.287 0.261 0.446
0.344 0.994 0.625
0.345 0.259 0.785
0.346 0.759 0.790
0.654 0.259 0.210
0.655 0.759 0.215
0.656 0.494 0.375
0.713 0.761 0.554
0.719 0.262 0.560
0.779 0.995 0.151
0.873 0.992 0.720
0.912 0.867 0.401
0.915 0.633 0.420
0.944 0.253 0.157
0.946 0.752 0.155
0.998 0.519 0.429
```

Crystalline NaHfNbSiP2O12 at its relaxed geometry. Source: the Materials Project, functional PBE.

Output
Calculated volume: 14.5 Å³ per atom
Energy of formation from the pure elements: -71.8 kcal/mol of atoms
Energy: -144.77 eV per formula unit

```
NaHfNbSiP2O12
1.0
7.673 -4.430 0.000
7.673 4.430 0.000
-0.032 0.000 23.106
Na Hf Nb Si P O
6 6 6 6 12 72
direct
0.000 0.000 0.000
0.000 0.000 0.500
0.330 0.333 0.333
0.333 0.330 0.833
0.665 0.667 0.667
0.667 0.665 0.167
0.327 0.330 0.479
0.330 0.327 0.979
0.662 0.672 0.812
0.672 0.662 0.312
0.997 0.998 0.145
0.998 0.997 0.645
0.000 0.997 0.353
0.323 0.337 0.186
0.337 0.323 0.686
0.663 0.666 0.020
0.666 0.663 0.520
0.997 0.000 0.853
0.040 0.331 0.081
0.331 0.040 0.581
0.374 0.956 0.915
0.711 0.996 0.748
0.956 0.374 0.415
0.996 0.711 0.248
0.044 0.619 0.582
0.286 0.709 0.749
0.286 0.998 0.249
0.332 0.619 0.082
0.378 0.665 0.415
0.619 0.044 0.082
0.619 0.332 0.582
0.665 0.378 0.915
0.665 0.953 0.415
0.709 0.286 0.249
0.953 0.665 0.915
0.998 0.286 0.749
0.018 0.163 0.089
0.020 0.802 0.589
0.029 0.804 0.306
0.030 0.170 0.803
0.130 0.505 0.637
0.137 0.362 0.139
0.137 0.508 0.923
0.146 0.354 0.422
0.155 0.538 0.528
0.160 0.304 0.026
0.163 0.018 0.589
0.163 0.307 0.741
0.170 0.030 0.303
0.170 0.799 0.803
0.173 0.801 0.090
0.176 0.516 0.241
0.181 0.973 0.907
0.194 0.832 0.408
0.202 0.973 0.195
0.204 0.822 0.695
0.301 0.528 0.742
0.304 0.160 0.526
0.306 0.537 0.028
0.307 0.163 0.241
0.354 0.146 0.922
0.356 0.506 0.423
0.362 0.137 0.639
0.363 0.503 0.137
0.463 0.696 0.470
0.467 0.838 0.257
0.469 0.684 0.757
0.470 0.830 0.973
0.486 0.640 0.361
0.493 0.864 0.859
0.498 0.637 0.075
0.503 0.363 0.637
0.505 0.130 0.137
0.506 0.356 0.923
0.508 0.137 0.423
0.508 0.848 0.574
0.516 0.176 0.741
0.528 0.301 0.242
0.537 0.306 0.528
0.538 0.155 0.028
0.635 0.872 0.362
0.637 0.498 0.575
0.638 0.860 0.074
0.640 0.486 0.861
0.684 0.469 0.257
0.686 0.829 0.755
0.694 0.837 0.470
0.696 0.463 0.970
0.799 0.170 0.303
0.801 0.173 0.590
0.802 0.020 0.089
0.804 0.029 0.806
0.822 0.204 0.195
0.826 0.971 0.692
0.829 0.686 0.255
0.830 0.470 0.473
0.832 0.194 0.908
0.832 0.970 0.408
0.837 0.694 0.970
0.838 0.467 0.757
0.848 0.508 0.074
0.860 0.638 0.574
0.864 0.493 0.359
0.872 0.635 0.862
0.970 0.832 0.908
0.971 0.826 0.192
0.973 0.181 0.407
0.973 0.202 0.695
```

Crystalline Li5Cu3Te2O10 at its relaxed geometry. Source: the Materials Project, functional PBE.

Output
Calculated volume: 11.0 Å³ per atom
Energy of formation from the pure elements: -37.2 kcal/mol of atoms
Energy: -103.01 eV per formula unit

```
Li5Cu3Te2O10
1.0
5.438 0.000 0.000
-1.520 5.414 0.000
-2.634 -2.058 7.471
Li Cu Te O
5 3 2 10
direct
0.000 0.000 0.000
0.090 0.215 0.683
0.269 0.604 0.124
0.731 0.396 0.876
0.910 0.785 0.317
0.268 0.361 0.391
0.500 0.000 0.500
0.732 0.639 0.609
0.365 0.805 0.804
0.635 0.195 0.196
0.087 0.830 0.597
0.093 0.591 0.867
0.338 0.966 0.249
0.339 0.129 0.946
0.450 0.513 0.711
0.550 0.487 0.289
0.661 0.871 0.054
0.662 0.034 0.751
0.907 0.409 0.133
0.913 0.170 0.403
```

Crystalline Ho2Co2I at its relaxed geometry. Source: the Materials Project, functional PBE.

Output
Calculated volume: 22.8 Å³ per atom
Energy of formation from the pure elements: -15.5 kcal/mol of atoms
Energy: -27.89 eV per formula unit

```
Ho2Co2I
1.0
3.938 0.000 0.000
-1.969 3.410 0.000
0.000 0.000 16.947
Ho Co I
4 4 2
direct
0.000 0.000 0.102
0.000 0.000 0.398
0.000 0.000 0.602
0.000 0.000 0.898
0.333 0.667 0.001
0.333 0.667 0.499
0.667 0.333 0.501
0.667 0.333 0.999
0.333 0.667 0.750
0.667 0.333 0.250
```

Crystalline Re2H4O9 at its relaxed geometry. Source: the Materials Project, functional PBE.

Output
Calculated volume: 12.9 Å³ per atom
E above lowest polymorph: 0.0 meV per atom
Energy of formation from the pure elements: -39.4 kcal/mol of atoms
Energy: -102.44 eV per formula unit
Largest piezoelectric modulus: 1.8 C/m²

```
Re2H4O9
1.0
4.970 0.000 0.000
0.000 9.126 0.000
-2.030 0.000 8.546
Re H O
4 8 18
direct
0.060 0.000 0.054
0.367 0.503 0.385
0.633 0.003 0.615
0.940 0.500 0.946
0.051 0.157 0.602
0.218 0.831 0.687
0.479 0.263 0.211
0.481 0.204 0.786
0.519 0.704 0.214
0.521 0.763 0.789
0.782 0.331 0.313
0.949 0.657 0.398
0.129 0.362 0.385
0.143 0.522 0.142
0.154 0.490 0.817
0.156 0.653 0.440
0.256 0.840 0.070
0.281 0.151 0.100
0.388 0.979 0.443
0.396 0.145 0.694
0.419 0.849 0.728
0.581 0.349 0.272
0.604 0.645 0.306
0.612 0.479 0.557
0.719 0.651 0.900
0.744 0.340 0.930
0.844 0.153 0.560
0.846 0.990 0.183
0.857 0.022 0.858
0.871 0.862 0.615
```